## HoMgMn2O6 (PBE+U)

Data for an optimized crystal structure of HoMgMn2O6.

## Properties
- Formation energy from the elements: -2.655 eV per atom
- Calculated volume: 211.7 Å³ per cell
- M_tot: 7.00 μB/f.u.
- Final energy: -7.33 eV per atom

a b c (Å): 7.5203 5.4423 5.1729
angles (deg): 90.00 90.00 90.00
Space group Pmn2_1 (No. 31)
Inequivalent atoms, fractional coordinates:
Ho 0.0000 0.1821 0.0000
Mg 0.0000 0.6874 0.4648
Mn 0.2492 0.7441 0.9819
O 0.0000 0.3060 0.5882
O 0.0000 0.7866 0.8530
O 0.1890 0.4511 0.1816
O 0.1886 0.9400 0.2931